Material: HoMnO3
Method: DFT, r2SCAN
State: relaxed

Results
As for the energy relative to the elements: -3.103 eV per atom. As for the total magnetic moment: 24.00 μB/cell. The value obtained for the mass density is 7.2 g/cm3. Its crystal system is hexagonal.

Unit cell a=6.1073 b=6.1073 c=11.4080 alpha=90.00 beta=90.00 gamma=120.00
Closest atoms and distances in Å follow each position.
Space group P6_3cm (No. 185)
Unique sites:
Ho: 0.0000 0.0000 0.0000  7 O 2.26-2.31
Ho: 0.3333 0.6667 0.4550  7 O 2.26-2.41
Mn: 0.0000 0.3336 0.2242  5 O 1.87-2.05
O: 0.0000 0.0000 0.2011  3 Mn 2.05, 1 Ho 2.29
O: 0.0000 0.3061 0.3880  1 Mn 1.88
O: 0.0000 0.3600 0.0607  1 Mn 1.87
O: 0.3333 0.6667 0.2435  3 Mn 2.05